# 1
This record from the Materials Project database describes crystalline MgB12O24 at its relaxed geometry. The functional is PBE-GGA.

Structure (POSCAR):
```
MgB12O24
1.0
11.818 0.000 0.000
0.000 8.665 0.000
-1.986 0.000 8.602
Mg B O
2 24 48
direct
0.000 0.000 0.000
0.000 0.500 0.500
0.027 0.247 0.262
0.027 0.253 0.762
0.085 0.512 0.201
0.085 0.988 0.701
0.145 0.211 0.562
0.145 0.289 0.062
0.286 0.039 0.144
0.286 0.461 0.644
0.356 0.601 0.893
0.356 0.899 0.393
0.474 0.596 0.710
0.474 0.904 0.210
0.526 0.096 0.790
0.526 0.404 0.290
0.644 0.101 0.607
0.644 0.399 0.107
0.714 0.539 0.356
0.714 0.961 0.856
0.855 0.711 0.938
0.855 0.789 0.438
0.915 0.012 0.299
0.915 0.488 0.799
0.973 0.747 0.238
0.973 0.753 0.738
0.020 0.082 0.779
0.020 0.418 0.279
0.050 0.208 0.111
0.050 0.292 0.611
0.074 0.669 0.208
0.074 0.831 0.708
0.128 0.203 0.390
0.128 0.297 0.890
0.157 0.053 0.616
0.157 0.447 0.116
0.187 0.530 0.539
0.187 0.970 0.039
0.255 0.201 0.109
0.255 0.299 0.609
0.275 0.505 0.802
0.275 0.995 0.302
0.335 0.647 0.034
0.335 0.853 0.534
0.398 0.000 0.114
0.398 0.500 0.614
0.427 0.144 0.832
0.427 0.356 0.332
0.455 0.650 0.852
0.455 0.850 0.352
0.545 0.150 0.648
0.545 0.350 0.148
0.573 0.644 0.668
0.573 0.856 0.168
0.602 0.000 0.886
0.602 0.500 0.386
0.665 0.147 0.466
0.665 0.353 0.966
0.725 0.005 0.698
0.725 0.495 0.198
0.745 0.701 0.391
0.745 0.799 0.891
0.813 0.030 0.961
0.813 0.470 0.461
0.843 0.553 0.884
0.843 0.947 0.384
0.872 0.703 0.110
0.872 0.797 0.610
0.926 0.169 0.292
0.926 0.331 0.792
0.950 0.708 0.389
0.950 0.792 0.889
0.980 0.582 0.721
0.980 0.918 0.221
```

Calculated total energy: -7.162 eV per atom
Spin magnetization: 10.00 μB per formula unit
Energy of formation from the pure elements: -2.19 eV per atom

# 2
This record from the Materials Project database describes crystalline SiI2 at its relaxed geometry. The functional is PBE-GGA.

Structure (POSCAR):
```
SiI2
1.0
11.592 0.000 0.000
0.000 17.017 0.000
-8.598 0.000 14.996
Si I
20 40
direct
0.061 0.185 0.465
0.061 0.315 0.965
0.062 0.174 0.961
0.062 0.326 0.461
0.269 0.146 0.481
0.269 0.354 0.981
0.292 0.135 0.021
0.292 0.365 0.521
0.420 0.246 0.569
0.420 0.254 0.069
0.580 0.746 0.931
0.580 0.754 0.431
0.708 0.635 0.479
0.708 0.865 0.979
0.731 0.646 0.019
0.731 0.854 0.519
0.938 0.674 0.539
0.938 0.826 0.039
0.939 0.685 0.035
0.939 0.815 0.535
0.029 0.620 0.448
0.029 0.880 0.948
0.056 0.141 0.599
0.056 0.359 0.099
0.074 0.629 0.694
0.074 0.871 0.194
0.126 0.628 0.169
0.126 0.872 0.669
0.245 0.155 0.331
0.245 0.345 0.831
0.324 0.075 0.903
0.324 0.425 0.403
0.339 0.013 0.544
0.339 0.487 0.044
0.367 0.043 0.147
0.367 0.457 0.647
0.381 0.749 0.448
0.381 0.751 0.948
0.482 0.220 0.725
0.482 0.280 0.225
0.518 0.720 0.775
0.518 0.780 0.275
0.619 0.249 0.052
0.619 0.251 0.552
0.633 0.543 0.353
0.633 0.957 0.853
0.661 0.513 0.956
0.661 0.987 0.456
0.676 0.575 0.597
0.676 0.925 0.097
0.755 0.655 0.169
0.755 0.845 0.669
0.874 0.128 0.331
0.874 0.372 0.831
0.926 0.129 0.806
0.926 0.371 0.306
0.944 0.641 0.901
0.944 0.859 0.401
0.971 0.120 0.052
0.971 0.380 0.552
```

Calculated total energy: -3.130 eV per atom
Spin magnetization: 0.00 μB per formula unit
Energy of formation from the pure elements: -0.56 eV per atom

# 3
This record from the Materials Project database describes crystalline Pa3Si at its relaxed geometry. The functional is PBE-GGA.

Structure (POSCAR):
```
Pa3Si
1.0
4.447 0.000 0.000
0.000 4.447 0.000
0.000 0.000 4.447
Pa Si
3 1
direct
0.000 0.000 0.500
0.000 0.500 0.000
0.500 0.000 0.000
0.500 0.500 0.500
```

Calculated total energy: -8.790 eV per atom
Energy of formation from the pure elements: -0.28 eV per atom

# 4
This record from the Materials Project database describes crystalline InPO6 at its relaxed geometry. The functional is PBE-GGA.

Structure (POSCAR):
```
InPO6
1.0
8.773 0.000 0.000
0.000 10.126 0.000
0.000 0.000 10.342
In P O
8 8 48
direct
0.142 0.179 0.124
0.142 0.321 0.624
0.358 0.679 0.124
0.358 0.821 0.624
0.642 0.179 0.376
0.642 0.321 0.876
0.858 0.679 0.376
0.858 0.821 0.876
0.041 0.635 0.663
0.041 0.865 0.163
0.459 0.135 0.663
0.459 0.365 0.163
0.541 0.635 0.837
0.541 0.865 0.337
0.959 0.135 0.837
0.959 0.365 0.337
0.003 0.012 0.173
0.003 0.488 0.673
0.039 0.702 0.799
0.039 0.798 0.299
0.074 0.208 0.926
0.074 0.292 0.426
0.183 0.531 0.052
0.183 0.969 0.552
0.207 0.651 0.607
0.207 0.849 0.107
0.249 0.653 0.320
0.249 0.847 0.820
0.251 0.153 0.320
0.251 0.347 0.820
0.293 0.151 0.607
0.293 0.349 0.107
0.317 0.031 0.052
0.317 0.469 0.552
0.426 0.708 0.926
0.426 0.792 0.426
0.461 0.202 0.799
0.461 0.298 0.299
0.497 0.512 0.173
0.497 0.988 0.673
0.503 0.012 0.327
0.503 0.488 0.827
0.539 0.702 0.701
0.539 0.798 0.201
0.574 0.208 0.574
0.574 0.292 0.074
0.683 0.531 0.448
0.683 0.969 0.948
0.707 0.651 0.893
0.707 0.849 0.393
0.749 0.653 0.180
0.749 0.847 0.680
0.751 0.153 0.180
0.751 0.347 0.680
0.793 0.151 0.893
0.793 0.349 0.393
0.817 0.031 0.448
0.817 0.469 0.948
0.926 0.708 0.574
0.926 0.792 0.074
0.961 0.202 0.701
0.961 0.298 0.201
0.997 0.512 0.327
0.997 0.988 0.827
```

Calculated total energy: -5.593 eV per atom
Spin magnetization: 4.00 μB per formula unit
Energy of formation from the pure elements: -1.38 eV per atom

# 5
This record from the Materials Project database describes crystalline K34Zn20In85 at its relaxed geometry. The functional is PBE-GGA.

Structure (POSCAR):
```
K34Zn20In85
1.0
9.454 5.458 13.663
-9.454 5.458 13.663
0.000 -10.916 13.663
K Zn In
34 20 85
direct
0.000 0.213 0.654
0.000 0.346 0.787
0.000 0.392 0.392
0.000 0.608 0.608
0.000 0.654 0.213
0.000 0.787 0.346
0.130 0.782 0.782
0.138 0.138 0.138
0.213 0.000 0.654
0.213 0.654 0.000
0.218 0.218 0.870
0.218 0.870 0.218
0.242 0.613 0.613
0.243 0.243 0.243
0.346 0.000 0.787
0.346 0.787 0.000
0.387 0.387 0.758
0.387 0.758 0.387
0.392 0.000 0.392
0.392 0.392 0.000
0.608 0.000 0.608
0.608 0.608 0.000
0.613 0.242 0.613
0.613 0.613 0.242
0.654 0.000 0.213
0.654 0.213 0.000
0.757 0.757 0.757
0.758 0.387 0.387
0.782 0.130 0.782
0.782 0.782 0.130
0.787 0.000 0.346
0.787 0.346 0.000
0.862 0.862 0.862
0.870 0.218 0.218
0.239 0.382 0.382
0.245 0.478 0.478
0.382 0.239 0.382
0.382 0.382 0.239
0.386 0.386 0.386
0.391 0.391 0.539
0.391 0.539 0.391
0.461 0.609 0.609
0.478 0.245 0.478
0.478 0.478 0.245
0.522 0.522 0.755
0.522 0.755 0.522
0.539 0.391 0.391
0.609 0.461 0.609
0.609 0.609 0.461
0.614 0.614 0.614
0.618 0.618 0.761
0.618 0.761 0.618
0.755 0.522 0.522
0.761 0.618 0.618
0.002 0.180 0.352
0.002 0.352 0.180
0.003 0.003 0.168
0.003 0.003 0.344
0.003 0.168 0.003
0.003 0.344 0.003
0.103 0.103 0.836
0.103 0.836 0.103
0.107 0.385 0.552
0.107 0.552 0.385
0.108 0.453 0.826
0.108 0.826 0.453
0.109 0.109 0.483
0.109 0.483 0.109
0.164 0.897 0.897
0.168 0.003 0.003
0.174 0.547 0.892
0.174 0.892 0.547
0.180 0.002 0.352
0.180 0.352 0.002
0.209 0.209 0.669
0.209 0.669 0.209
0.213 0.213 0.485
0.213 0.485 0.213
0.216 0.390 0.659
0.216 0.659 0.390
0.331 0.791 0.791
0.341 0.610 0.784
0.341 0.784 0.610
0.344 0.003 0.003
0.352 0.002 0.180
0.352 0.180 0.002
0.385 0.107 0.552
0.385 0.552 0.107
0.390 0.216 0.659
0.390 0.659 0.216
0.448 0.615 0.893
0.448 0.893 0.615
0.453 0.108 0.826
0.453 0.826 0.108
0.483 0.109 0.109
0.485 0.213 0.213
0.500 0.500 0.500
0.515 0.787 0.787
0.517 0.891 0.891
0.547 0.174 0.892
0.547 0.892 0.174
0.552 0.107 0.385
0.552 0.385 0.107
0.610 0.341 0.784
0.610 0.784 0.341
0.615 0.448 0.893
0.615 0.893 0.448
0.648 0.820 0.998
0.648 0.998 0.820
0.656 0.997 0.997
0.659 0.216 0.390
0.659 0.390 0.216
0.669 0.209 0.209
0.784 0.341 0.610
0.784 0.610 0.341
0.787 0.515 0.787
0.787 0.787 0.515
0.791 0.331 0.791
0.791 0.791 0.331
0.820 0.648 0.998
0.820 0.998 0.648
0.826 0.108 0.453
0.826 0.453 0.108
0.832 0.997 0.997
0.836 0.103 0.103
0.891 0.517 0.891
0.891 0.891 0.517
0.892 0.174 0.547
0.892 0.547 0.174
0.893 0.448 0.615
0.893 0.615 0.448
0.897 0.164 0.897
0.897 0.897 0.164
0.997 0.656 0.997
0.997 0.832 0.997
0.997 0.997 0.656
0.997 0.997 0.832
0.998 0.648 0.820
0.998 0.820 0.648
```

Calculated total energy: -2.262 eV per atom
Spin magnetization: 0.00 μB per formula unit
Energy of formation from the pure elements: -0.13 eV per atom

# 6
This record from the Materials Project database describes crystalline KInTe6Mo6 at its relaxed geometry. The functional is PBE-GGA.

Structure (POSCAR):
```
KInTe6Mo6
1.0
9.826 0.000 0.000
0.000 4.624 0.000
-4.842 0.000 8.555
K In Te Mo
1 1 6 6
direct
0.000 0.000 0.000
0.680 0.500 0.346
0.023 0.500 0.704
0.302 0.500 0.316
0.380 0.000 0.019
0.646 0.000 0.619
0.686 0.500 0.979
0.984 0.000 0.360
0.172 0.500 0.521
0.191 0.000 0.687
0.319 0.000 0.501
0.355 0.500 0.831
0.484 0.500 0.647
0.502 0.000 0.812
```

Calculated total energy: -6.627 eV per atom
Spin magnetization: 0.00 μB per formula unit
Energy of formation from the pure elements: -0.36 eV per atom

# 7
This record from the Materials Project database describes crystalline PrSiO4 at its relaxed geometry. The functional is PBE-GGA.

Structure (POSCAR):
```
PrSiO4
1.0
-3.644 3.644 3.229
3.644 -3.644 3.229
3.644 3.644 -3.229
Pr Si O
2 2 8
direct
0.375 0.625 0.750
0.625 0.375 0.250
0.125 0.875 0.250
0.875 0.125 0.750
0.140 0.715 0.425
0.211 0.285 0.925
0.285 0.211 0.425
0.285 0.860 0.075
0.715 0.140 0.925
0.715 0.789 0.575
0.789 0.715 0.075
0.860 0.285 0.575
```

Calculated total energy: -7.741 eV per atom
Spin magnetization: 1.00 μB per formula unit
Energy of formation from the pure elements: -3.20 eV per atom

# 8
This record from the Materials Project database describes crystalline Tb2Si3 at its relaxed geometry. The functional is PBE-GGA.

Structure (POSCAR):
```
Tb2Si3
1.0
2.119 -12.035 0.000
2.119 12.035 0.000
0.000 0.000 4.284
Tb Si
4 6
direct
0.118 0.882 0.750
0.246 0.754 0.250
0.754 0.246 0.750
0.882 0.118 0.250
0.021 0.979 0.250
0.336 0.664 0.750
0.432 0.568 0.750
0.568 0.432 0.250
0.664 0.336 0.250
0.979 0.021 0.750
```

Calculated total energy: -5.414 eV per atom
Spin magnetization: 0.00 μB per formula unit
Energy of formation from the pure elements: -0.26 eV per atom

# 9
This record from the Materials Project database describes crystalline ErGa at its relaxed geometry. The functional is PBE-GGA.

Structure (POSCAR):
```
ErGa
1.0
2.141 -5.390 0.000
2.141 5.390 0.000
0.000 0.000 4.051
Er Ga
2 2
direct
0.140 0.860 0.750
0.860 0.140 0.250
0.423 0.577 0.750
0.577 0.423 0.250
```

Calculated total energy: -4.425 eV per atom
Energy of formation from the pure elements: -0.63 eV per atom